First-principles (PBE-GGA) data for an optimized crystal structure of Cs3Fe2S4, as listed in Materials Project.

Properties
V (Å³ per cell): 1115
Symmetry: Pnma (62)
Total DFT energy (no corrections) (eV/cell): -174.1

Structure (CIF):
```
data_Cs3Fe2S4
_cell_length_a 7.630
_cell_length_b 11.138
_cell_length_c 13.116
_cell_angle_alpha 90.00
_cell_angle_beta 90.00
_cell_angle_gamma 90.00
_symmetry_space_group_name_H-M 'P 1'
_symmetry_Int_Tables_number 1
loop_
_symmetry_equiv_pos_as_xyz
'x,y,z'
loop_
_atom_site_label
_atom_site_fract_x
_atom_site_fract_y
_atom_site_fract_z
_atom_site_occupancy
S1 0.955 0.750 0.357 1
S2 0.774 0.989 0.537 1
S3 0.726 0.489 0.037 1
S4 0.774 0.511 0.537 1
S5 0.905 0.250 0.377 1
S6 0.455 0.750 0.143 1
S7 0.045 0.250 0.643 1
S8 0.095 0.750 0.623 1
S9 0.226 0.489 0.463 1
S10 0.226 0.011 0.463 1
S11 0.545 0.250 0.857 1
S12 0.726 0.011 0.037 1
S13 0.405 0.250 0.123 1
S14 0.274 0.989 0.963 1
S15 0.595 0.750 0.877 1
S16 0.274 0.511 0.963 1
Fe1 0.009 0.628 0.493 1
Fe2 0.991 0.372 0.507 1
Fe3 0.991 0.128 0.507 1
Fe4 0.509 0.872 0.007 1
Fe5 0.491 0.128 0.993 1
Fe6 0.509 0.628 0.007 1
Fe7 0.009 0.872 0.493 1
Fe8 0.491 0.372 0.993 1
Cs1 0.392 0.970 0.712 1
Cs2 0.392 0.530 0.712 1
Cs3 0.608 0.030 0.288 1
Cs4 0.988 0.750 0.053 1
Cs5 0.488 0.750 0.447 1
Cs6 0.012 0.250 0.947 1
Cs7 0.608 0.470 0.288 1
Cs8 0.892 0.970 0.788 1
Cs9 0.108 0.470 0.212 1
Cs10 0.108 0.030 0.212 1
Cs11 0.892 0.530 0.788 1
Cs12 0.512 0.250 0.553 1
```